1.
8
Lattice="3.3566 1.9379 2.7340 -3.3566 1.9379 2.7340 0.0000 -3.8759 2.7340" Properties=species:S:1:pos:R:3 comment="Cr3Si2Mo3, relaxed, DFT PBE" volume_a3_per_atom=13.34 magmom_total_mub_per_atom=0.00 delta_e_f_mev_per_atom=-285 pbc="T T T"
Cr -2.5129 0.4765 2.7340
Cr 0.8437 -2.4145 2.7340
Cr 1.6691 1.9379 2.7340
Si 0.0000 0.0000 1.9834
Si 0.0000 0.0000 6.2185
Mo -0.8395 -1.4540 4.1010
Mo -0.8395 1.4540 4.1010
Mo 1.6789 0.0000 4.1010

2.
12
Lattice="7.6227 0.0000 0.0000 0.0000 2.4176 4.2479 0.0000 -2.4176 4.2479" Properties=species:S:1:pos:R:3 comment="CrSiMo, relaxed, DFT PBE" volume_a3_per_atom=13.05 magmom_total_mub_per_atom=0.00 delta_e_f_mev_per_atom=-197 pbc="T T T"
Cr 0.0000 -1.2401 4.2479
Cr 0.0000 1.2401 4.2479
Cr 1.8865 0.0000 4.8886
Cr 5.7362 0.0000 4.8886
Si 0.0000 0.0000 6.4097
Si 3.8113 0.0000 3.4904
Si 3.8113 -1.2196 5.6356
Si 3.8113 1.2196 5.6356
Mo 1.4624 0.0000 2.0852
Mo 2.4629 0.0000 7.7644
Mo 5.1598 0.0000 7.7644
Mo 6.1603 0.0000 2.0852

3.
8
Lattice="1.7077 -1.9254 -1.5049 3.4518 3.5303 -0.5998 0.7790 -0.8779 4.9597" Properties=species:S:1:pos:R:3 comment="CrN, relaxed, DFT PBE" volume_a3_per_atom=8.95 magmom_total_mub_per_atom=0.00 delta_e_f_mev_per_atom=-644 pbc="T T T"
N 1.7026 0.8635 0.8271
Cr 3.4415 1.7730 1.6368
N 4.2358 -0.1367 2.0281
N 1.6561 -0.9392 3.0805
Cr 2.5696 -0.9547 1.1843
Cr 2.5436 0.7570 -1.0354
Cr 3.4154 3.4846 -0.5829
N 4.2824 1.6663 -0.2256

4.
28
Lattice="8.1765 0.0000 0.0000 -4.0882 7.0810 0.0000 0.0000 0.0000 6.0296" Properties=species:S:1:pos:R:3 comment="Cr3N4, relaxed, DFT PBE" volume_a3_per_atom=12.47 relative_energy_mev_per_atom=34 magmom_total_mub_per_atom=0.72 delta_e_f_mev_per_atom=-475 pbc="T T T"
Cr -1.6537 4.0220 0.0000
Cr -0.3293 1.7997 4.4015
Cr -2.3650 6.4664 4.4015
Cr 1.7233 0.6146 1.3867
Cr 1.4320 3.6379 0.0000
Cr 0.2217 6.5022 0.0000
Cr 2.4345 3.0591 3.0148
Cr 4.3100 0.5788 3.0148
Cr 2.6943 5.8959 4.4015
Cr 3.7589 5.2813 1.3867
Cr 6.7825 1.1851 1.3867
Cr 5.5202 3.4431 3.0148
N 0.0000 0.0000 1.3722
N 0.0000 0.0000 4.3870
N -1.2707 2.2335 2.8904
N -2.3008 4.6235 4.4132
N -1.5186 7.0647 2.8904
N 2.5697 0.0163 5.9052
N 0.0000 4.7207 0.3939
N 1.2346 2.7768 4.4132
N 1.7875 2.4576 1.3984
N 1.0662 6.7618 4.4132
N 5.1544 0.3192 1.3984
N 4.0882 2.3603 3.4087
N 2.7893 4.8638 2.8904
N 2.8175 4.8475 5.9052
N 5.3228 4.3042 1.3984
N 6.8775 2.2172 5.9052